Entry 1:
DFT (PBE with a Hubbard U) results for an optimized crystal structure of CaNiO2.

Lattice parameters (Å, degrees): 3.1685 8.1719 8.9362 68.97 80.03 89.16
Element x y z (fractional)
Ca 0.0058 0.2974 0.4793
Ca 0.3126 0.8551 0.8657
Ca 0.6874 0.1449 0.1343
Ca 0.9942 0.7026 0.5207
Ni 0.1739 0.4749 0.1490
Ni 0.3777 0.2532 0.7834
Ni 0.6223 0.7468 0.2166
Ni 0.8261 0.5251 0.8510
O 0.0928 0.5850 0.3222
O 0.1601 0.9254 0.2157
O 0.2642 0.3536 0.9749
O 0.3966 0.7111 0.6957
O 0.6034 0.2888 0.3043
O 0.7358 0.6464 0.0251
O 0.8399 0.0746 0.7843
O 0.9072 0.4150 0.6778

Total energy in eV per atom: -5.473
Magnetization in μB/cell: 8.0

---

Entry 2:
DFT (PBE with a Hubbard U) results for an optimized crystal structure of Ca2Ni2O5.

Lattice parameters (Å, degrees): 5.3504 10.3145 3.7855 90.00 90.00 90.00
Element x y z (fractional)
Ca 0.1954 0.1295 0.0000
Ca 0.3046 0.6295 0.0000
Ca 0.6954 0.3705 0.0000
Ca 0.8046 0.8705 0.0000
Ni 0.2285 0.3741 0.5000
Ni 0.2715 0.8741 0.5000
Ni 0.7285 0.1259 0.5000
Ni 0.7715 0.6259 0.5000
O 0.0000 0.0000 0.5000
O 0.0800 0.7118 0.5000
O 0.2098 0.3991 0.0000
O 0.2902 0.8991 0.0000
O 0.4200 0.2118 0.5000
O 0.5000 0.5000 0.5000
O 0.5800 0.7882 0.5000
O 0.7098 0.1009 0.0000
O 0.7902 0.6009 0.0000
O 0.9200 0.2882 0.5000

Total energy in eV per atom: -5.485
Magnetization in μB/cell: 4.0

---

Entry 3:
DFT (PBE with a Hubbard U) results for an optimized crystal structure of CaNi2O4.

Lattice parameters (Å, degrees): 6.1083 6.1083 6.1083 118.90 118.73 92.06
Element x y z (fractional)
Ca 0.5000 0.0000 0.0000
Ca 0.5000 0.5000 0.5000
Ni 0.0000 0.0000 0.0000
Ni 0.1107 0.3607 0.7500
Ni 0.5000 0.0000 0.5000
Ni 0.8893 0.6393 0.2500
O 0.2175 0.2278 0.9898
O 0.2326 0.2237 0.4911
O 0.2326 0.7415 0.0089
O 0.2620 0.7722 0.4898
O 0.7380 0.2278 0.5102
O 0.7674 0.2585 0.9911
O 0.7674 0.7763 0.5089
O 0.7825 0.7722 0.0102

Magnetization in μB/cell: 8.0
Offset from the most stable computed form in meV/atom: 237

---

Entry 4:
DFT (PBE with a Hubbard U) results for an optimized crystal structure of CaNi2O4.

Lattice parameters (Å, degrees): 3.1393 9.8609 9.5576 90.00 90.00 90.00
Element x y z (fractional)
Ca 0.1944 0.1492 0.2500
Ca 0.1944 0.3508 0.7500
Ca 0.8056 0.6492 0.2500
Ca 0.8056 0.8508 0.7500
Ni 0.2758 0.6085 0.5695
Ni 0.2758 0.6085 0.9305
Ni 0.2758 0.8915 0.0695
Ni 0.2758 0.8915 0.4305
Ni 0.7242 0.1085 0.5695
Ni 0.7242 0.1085 0.9305
Ni 0.7242 0.3915 0.0695
Ni 0.7242 0.3915 0.4305
O 0.1017 0.2500 0.0000
O 0.1017 0.2500 0.5000
O 0.2848 0.5217 0.1070
O 0.2848 0.5217 0.3930
O 0.2848 0.9783 0.6070
O 0.2848 0.9783 0.8930
O 0.3052 0.6861 0.7500
O 0.3052 0.8139 0.2500
O 0.6948 0.1861 0.7500
O 0.6948 0.3139 0.2500
O 0.7152 0.0217 0.1070
O 0.7152 0.0217 0.3930
O 0.7152 0.4783 0.6070
O 0.7152 0.4783 0.8930
O 0.8983 0.7500 0.0000
O 0.8983 0.7500 0.5000

Magnetization in μB/cell: 8.0
Offset from the most stable computed form in meV/atom: 25

---

> magnetization of number 3 (CaNi2O4)?

8.0 μB/cell